Record 1
Here is a relaxed Sm3FeO6 crystal from the Materials Project. Energies are from GGA+U.

Cell lengths 7.3401, 7.3401, 5.5951 Å; angles 90.00, 90.00, 102.94 degrees
Closest atoms and distances in Å follow each position.
Fractional coordinates of all 20 atoms:
Sm 0.5874 0.7994 0.0420  5 O 2.28-2.46
Sm 0.2006 0.4126 0.0420  5 O 2.28-2.46
Sm 0.4126 0.2006 0.5420  5 O 2.28-2.46
Sm 0.7994 0.5874 0.5420  5 O 2.28-2.46
Sm 0.1029 0.8971 0.9981  7 O 2.35-2.52
Sm 0.8971 0.1029 0.4981  7 O 2.35-2.52
Fe 0.3072 0.6928 0.5735  4 O 1.91-1.92
Fe 0.6928 0.3072 0.0735  4 O 1.91-1.92
O 0.1737 0.1459 0.2715  4 Sm 2.28-2.35
O 0.8541 0.8263 0.2715  4 Sm 2.28-2.35
O 0.8263 0.8541 0.7715  4 Sm 2.28-2.35
O 0.1459 0.1737 0.7715  4 Sm 2.28-2.35
O 0.6066 0.0808 0.2495  1 Fe 1.91
O 0.9192 0.3934 0.2495  1 Fe 1.91
O 0.3934 0.9192 0.7495  1 Fe 1.91
O 0.0808 0.6066 0.7495  1 Fe 1.91
O 0.5411 0.4589 0.2193  1 Fe 1.92
O 0.4589 0.5411 0.7193  1 Fe 1.92
O 0.2851 0.7149 0.2358  1 Fe 1.91
O 0.7149 0.2851 0.7358  1 Fe 1.91

Record 2
Here is a relaxed SrSmFeSnO6 crystal from the Materials Project. Energies are from GGA+U.

Cell lengths 5.6783, 5.6783, 5.6783 Å; angles 60.00, 60.00, 60.00 degrees
Closest atoms and distances in Å follow each position.
Fractional coordinates of all 10 atoms:
Sr 0.2500 0.2500 0.2500  12 O 2.84
Sm 0.7500 0.7500 0.7500  12 O 2.84
Fe 0.0000 0.0000 0.0000  6 O 1.98
Sn 0.5000 0.5000 0.5000  6 O 2.03
O 0.7532 0.2468 0.2468  1 Fe 1.98, 1 Sn 2.03
O 0.2468 0.7532 0.7532  1 Fe 1.98, 1 Sn 2.03
O 0.7532 0.2468 0.7532  1 Fe 1.98, 1 Sn 2.03
O 0.2468 0.7532 0.2468  1 Fe 1.98, 1 Sn 2.03
O 0.7532 0.7532 0.2468  1 Fe 1.98, 1 Sn 2.03
O 0.2468 0.2468 0.7532  1 Fe 1.98, 1 Sn 2.03

Record 3
Here is a relaxed Sr2SmFeO6 crystal from the Materials Project. Energies are from GGA+U.

Cell lengths 5.8264, 5.8264, 5.8264 Å; angles 60.00, 60.00, 60.00 degrees
Closest atoms and distances in Å follow each position.
Fractional coordinates of all 10 atoms:
Sr 0.2500 0.2500 0.2500  12 O 2.92
Sr 0.7500 0.7500 0.7500  12 O 2.92
Sm 0.5000 0.5000 0.5000  6 O 2.24
Fe 0.0000 0.0000 0.0000  6 O 1.88
O 0.7716 0.2284 0.2284  1 Fe 1.88
O 0.2284 0.7716 0.7716  1 Fe 1.88
O 0.7716 0.2284 0.7716  1 Fe 1.88
O 0.2284 0.7716 0.2284  1 Fe 1.88
O 0.7716 0.7716 0.2284  1 Fe 1.88
O 0.2284 0.2284 0.7716  1 Fe 1.88

Number 1: calculated formation energy -33.35 eV per formula unit. Number 2: calculated formation energy -25.63 eV per formula unit. Number 3: calculated formation energy -26.24 eV per formula unit.